# KRbMg6O7 (GGA-PBE, relaxed)
data_KRbMg6O7
_chemical_formula_sum 'K1 Rb1 Mg6 O7'
_space_group_name_H-M_alt 'P 4 m m'
_space_group_IT_number 99
_cell_length_a 4.304
_cell_length_b 4.304
_cell_length_c 11.501
_cell_angle_alpha 90.00
_cell_angle_beta 90.00
_cell_angle_gamma 90.00
loop_
_space_group_symop_operation_xyz
'x,y,z'
'-y,x,z'
'-x,-y,z'
'y,-x,z'
'-x,y,z'
'y,x,z'
'x,-y,z'
'-y,-x,z'
loop_
_atom_site_label
_atom_site_type_symbol
_atom_site_fract_x
_atom_site_fract_y
_atom_site_fract_z
K1 K 0.000 0.000 0.000
Rb1 Rb 0.500 0.500 0.973
Mg1 Mg 0.000 0.000 0.496
Mg2 Mg 0.000 0.500 0.262
Mg3 Mg 0.000 0.500 0.668
Mg4 Mg 0.500 0.500 0.477
O1 O 0.000 0.000 0.679
O2 O 0.000 0.500 0.101
O3 O 0.000 0.500 0.487
O4 O 0.500 0.500 0.304
O5 O 0.500 0.500 0.679
# - Energy: -4.968 eV per atom
# - E_form: -2.20 eV per atom
# - MP2020-corrected energy: -5.289 eV/atom
# - E above lowest polymorph: 0.001 eV/atom